Material: UO2F2
Method: DFT, PBE-GGA
State: relaxed

The structure in POSCAR format:
```
UO2F2
1.0
3.852 -9.571 3.940
0.426 -3.565 -1.756
-0.314 5.227 -2.475
F U O
2 1 2
direct
0.862 0.798 0.000 F
0.138 0.202 0.000 F
0.000 0.000 0.000 U
0.367 0.316 0.000 O
0.633 0.684 0.000 O
```

Values from the calculation:
As for the space-group type: No. 12. The value obtained for the formation energy is -3353 meV per atom. Its total magnetic moment is 0.0 μB per cell. For the excess energy over the best structure of this formula in the dataset, the calculation gives 322 meV/atom.

=====

Material: Lu4CdNi
Method: DFT, PBE-GGA
State: relaxed

The structure in POSCAR format:
```
Lu4CdNi
1.0
-0.568 2.029 9.099
-7.486 -2.649 4.917
0.755 -6.801 6.357
Lu Cd Ni
16 4 4
direct
0.563 0.937 0.563 Lu
0.937 0.563 0.563 Lu
0.937 0.563 0.937 Lu
0.349 0.349 0.349 Lu
0.811 0.811 0.189 Lu
0.563 0.937 0.937 Lu
0.563 0.563 0.937 Lu
0.349 0.954 0.349 Lu
0.189 0.811 0.811 Lu
0.937 0.937 0.563 Lu
0.189 0.811 0.189 Lu
0.349 0.349 0.954 Lu
0.811 0.189 0.189 Lu
0.189 0.189 0.811 Lu
0.954 0.349 0.349 Lu
0.811 0.189 0.811 Lu
0.255 0.582 0.582 Cd
0.582 0.582 0.582 Cd
0.582 0.255 0.582 Cd
0.582 0.582 0.255 Cd
0.142 0.142 0.142 Ni
0.142 0.142 0.573 Ni
0.142 0.573 0.142 Ni
0.573 0.142 0.142 Ni
```

Values from the calculation:
As for the space-group type: No. 216. The value obtained for the formation energy is -324 meV per atom.

=====

Material: HgC6I2N4
Method: DFT, PBE-GGA
State: relaxed

The structure in POSCAR format:
```
HgC6I2N4
1.0
-2.123 0.681 6.538
-7.367 -10.466 -1.303
12.092 -9.119 4.877
I C N Hg
8 24 16 4
direct
0.250 0.361 0.569 I
0.250 0.728 0.621 I
0.750 0.272 0.379 I
0.250 0.861 0.931 I
0.750 0.639 0.431 I
0.750 0.772 0.121 I
0.750 0.139 0.069 I
0.250 0.228 0.879 I
0.918 0.023 0.729 C
0.086 0.907 0.412 C
0.414 0.907 0.412 C
0.582 0.023 0.729 C
0.082 0.477 0.229 C
0.582 0.523 0.771 C
0.414 0.407 0.088 C
0.250 0.067 0.380 C
0.918 0.523 0.771 C
0.586 0.093 0.588 C
0.418 0.477 0.229 C
0.586 0.593 0.912 C
0.750 0.933 0.620 C
0.418 0.977 0.271 C
0.250 0.324 0.195 C
0.250 0.824 0.305 C
0.086 0.407 0.088 C
0.082 0.977 0.271 C
0.750 0.176 0.695 C
0.750 0.676 0.805 C
0.750 0.433 0.880 C
0.250 0.567 0.120 C
0.914 0.093 0.588 C
0.914 0.593 0.912 C
0.418 0.386 0.176 N
0.750 0.529 0.926 N
0.918 0.614 0.824 N
0.250 0.033 0.296 N
0.082 0.386 0.176 N
0.750 0.967 0.704 N
0.750 0.029 0.574 N
0.582 0.114 0.676 N
0.250 0.471 0.074 N
0.250 0.971 0.426 N
0.082 0.886 0.324 N
0.582 0.614 0.824 N
0.418 0.886 0.324 N
0.250 0.533 0.204 N
0.750 0.467 0.796 N
0.918 0.114 0.676 N
0.750 0.697 0.274 Hg
0.750 0.197 0.226 Hg
0.250 0.803 0.774 Hg
0.250 0.303 0.726 Hg
```

Values from the calculation:
As for the space-group type: No. 62. The value obtained for the formation energy is 1493 meV per atom. Its total magnetic moment is 0.0 μB per cell.